1.
Below is an optimized crystal structure of SmOF, with properties calculated at the PBE level.

The structure in POSCAR format:
```
SmOF
1.0
0.000 2.784 2.784
2.784 0.000 2.784
2.784 2.784 0.000
Sm O F
1 1 1
Cartesian
0.000 0.000 0.000
4.177 4.177 4.177
1.392 1.392 1.392
```

Output
Largest piezoelectric modulus = 0.94 C/m²
Calculated volume = 14.4 Å³ per atom
Energy of formation from the pure elements = -4.15 eV per atom

---

2.
Below is an optimized crystal structure of Sm4O3F6, with properties calculated at the PBE level.

The structure in POSCAR format:
```
Sm4O3F6
1.0
4.681 0.000 0.000
0.000 3.704 0.000
-1.175 0.000 47.439
Sm O F
16 12 24
Cartesian
0.000 0.000 0.000
-0.977 0.000 40.950
-0.013 0.000 5.507
-0.060 0.000 11.021
-0.554 0.000 34.838
-0.066 0.000 16.532
-0.048 0.000 22.004
0.015 0.000 28.930
0.971 1.852 43.881
1.295 1.852 37.636
2.343 1.852 2.193
2.307 1.852 7.696
2.271 1.852 13.213
2.294 1.852 18.710
2.354 1.852 24.489
2.423 1.852 31.408
0.001 1.852 1.215
-0.495 1.852 23.067
-0.017 1.852 6.734
-0.070 1.852 12.249
-0.479 1.852 30.034
-0.068 1.852 17.759
-0.548 1.852 42.317
0.171 1.852 35.581
2.339 0.000 0.841
2.317 0.000 6.324
2.271 0.000 11.842
2.276 0.000 17.341
-0.315 1.852 39.468
-0.028 0.000 37.447
-0.148 0.000 44.965
1.196 0.000 3.525
1.142 0.000 9.029
1.106 0.000 14.532
0.860 0.000 26.990
0.930 0.000 24.407
1.148 0.000 20.029
1.125 0.000 31.124
1.320 0.000 40.932
1.508 0.000 33.611
2.298 0.000 22.499
2.390 0.000 29.146
2.093 0.000 43.201
2.271 0.000 36.193
2.143 0.000 45.706
2.345 0.000 38.741
3.513 0.000 3.496
3.456 0.000 9.015
3.419 0.000 14.544
3.203 0.000 25.522
3.463 0.000 20.010
3.572 0.000 32.325
```

Output
Calculated volume = 15.8 Å³ per atom
Energy of formation from the pure elements = -3.98 eV per atom

---

3.
Below is an optimized crystal structure of Sn4OF6, with properties calculated at the PBE level.

The structure in POSCAR format:
```
Sn4OF6
1.0
5.128 0.000 0.000
0.000 10.934 0.000
0.000 0.000 16.583
Sn O F
16 4 24
Cartesian
0.174 1.001 7.996
0.183 3.265 5.230
0.193 10.610 13.425
0.663 7.598 6.800
1.901 3.336 15.092
2.371 0.324 5.134
2.380 7.669 13.522
2.390 9.933 16.288
2.738 4.466 8.587
2.747 2.202 11.353
2.757 5.791 3.158
3.227 8.803 9.783
4.465 2.131 1.491
4.935 5.143 11.450
4.944 8.732 3.062
4.954 6.468 0.296
0.898 1.480 6.079
1.666 9.454 14.370
3.462 3.987 10.505
4.230 6.947 2.213
0.689 2.256 3.377
0.713 8.418 0.639
0.811 5.195 9.568
0.825 3.072 11.700
1.009 9.619 6.286
1.200 2.558 0.576
1.364 8.376 8.868
1.555 1.314 14.577
1.739 7.862 3.408
1.753 5.739 1.276
1.851 2.516 8.931
1.875 8.678 11.668
3.253 3.211 13.207
3.276 7.983 15.944
3.374 0.272 7.015
3.389 2.395 4.884
3.572 6.781 10.298
3.764 2.909 16.007
3.928 8.025 7.716
4.119 4.153 2.006
4.302 8.539 13.175
4.317 10.662 15.307
4.415 2.951 7.652
4.438 7.722 4.915
```

Output
Largest piezoelectric modulus = 0.26 C/m²
Calculated volume = 21.1 Å³ per atom
Energy of formation from the pure elements = -2.40 eV per atom

---

4.
Below is an optimized crystal structure of Sn3O2F2, with properties calculated at the PBE level.

The structure in POSCAR format:
```
Sn3O2F2
1.0
15.533 0.000 0.000
0.000 5.609 0.000
0.000 0.000 6.774
Sn O F
12 8 8
Cartesian
0.558 1.402 1.075
1.542 1.402 4.502
2.820 4.207 0.071
4.946 1.402 3.458
6.225 4.207 1.115
7.208 4.207 4.461
8.324 1.402 2.312
9.308 1.402 5.658
10.587 4.207 3.316
12.712 1.402 6.703
13.991 4.207 2.272
14.975 4.207 5.699
1.268 2.809 6.153
1.268 5.604 6.153
6.498 0.004 2.766
6.498 2.800 2.766
9.035 2.809 4.007
9.035 5.604 4.007
14.264 0.004 0.620
14.264 2.800 0.620
0.561 4.207 2.392
3.757 4.207 4.989
4.010 1.402 1.602
7.205 1.402 5.779
8.328 4.207 0.995
11.523 4.207 5.171
11.776 1.402 1.785
14.971 1.402 4.382
```

Output
Offset from the most stable computed form = 0.0102 eV/atom
Calculated volume = 21.1 Å³ per atom
Energy of formation from the pure elements = -1.98 eV per atom